The following is a r²SCAN calculation of a relaxed DySi2Pd2 crystal, from Materials Project.

Geometry as CIF:
```
data_DySi2Pd2
_cell_length_a 5.7582
_cell_length_b 5.7582
_cell_length_c 5.7582
_cell_angle_alpha 137.98
_cell_angle_beta 137.98
_cell_angle_gamma 60.94
_symmetry_space_group_name_H-M 'P 1'
_symmetry_Int_Tables_number 1
loop_
_symmetry_equiv_pos_as_xyz
'x,y,z'
loop_
_atom_site_label
_atom_site_fract_x
_atom_site_fract_y
_atom_site_fract_z
Dy1 0.0000 0.0000 0.0000
Si1 0.3836 0.3836 0.0000
Si2 0.6164 0.6164 0.0000
Pd1 0.2500 0.7500 0.5000
Pd2 0.7500 0.2500 0.5000
```

Results
- formation energy (eV/atom) = -0.977
- total DFT energy (no corrections) (eV/atom) = -20.067
- calculated volume (Å³ per cell) = 85